(1)
Entry from the Materials Project: a geometry-optimized La2ZrS5 structure (GGA-PBE).

Properties
Energy with MP2020 corrections, eV/atom: -7.181

Cell: 7.4384 8.2552 11.5382 Å, 90.00 90.00 90.00°
Element x y z (fractional)
S 0.3598 0.7500 0.1930
S 0.3402 0.2500 0.2084
S 0.8598 0.2500 0.3070
S 0.8224 0.4656 0.5735
S 0.6598 0.7500 0.7916
S 0.4419 0.2500 0.4958
S 0.3224 0.5344 0.9265
S 0.1776 0.5344 0.4265
S 0.8402 0.7500 0.2916
S 0.3224 0.9656 0.9265
S 0.1598 0.2500 0.7084
S 0.8224 0.0344 0.5735
S 0.9419 0.7500 0.0042
S 0.1776 0.9656 0.4265
S 0.6776 0.0344 0.0735
S 0.6776 0.4656 0.0735
S 0.1402 0.7500 0.6930
S 0.6402 0.2500 0.8070
S 0.5581 0.7500 0.5042
S 0.0581 0.2500 0.9958
La 0.5589 0.4985 0.3286
La 0.4411 0.9985 0.6714
La 0.4411 0.5015 0.6714
La 0.5589 0.0015 0.3286
La 0.9411 0.4985 0.8286
La 0.0589 0.5015 0.1714
La 0.0589 0.9985 0.1714
La 0.9411 0.0015 0.8286
Zr 0.4264 0.2500 0.9896
Zr 0.0736 0.2500 0.4896
Zr 0.5736 0.7500 0.0104
Zr 0.9264 0.7500 0.5104

=====

(2)
Entry from the Materials Project: a geometry-optimized LiGaSe2O6 structure (GGA-PBE).

Properties
Total moment, μB/cell: 0.0
Energy with MP2020 corrections, eV/atom: -5.882

Cell: 9.0943 9.0943 9.0943 Å, 107.67 107.67 113.15°
Element x y z (fractional)
Ga 0.8373 0.3750 0.9623
Ga 0.1250 0.1627 0.5377
Ga 0.6250 0.5873 0.4623
Ga 0.4127 0.8750 0.0377
O 0.3182 0.1598 0.4759
O 0.8775 0.6650 0.6224
O 0.5698 0.2907 0.8675
O 0.9523 0.1733 0.6325
O 0.2074 0.0850 0.7124
O 0.4233 0.7023 0.1325
O 0.7450 0.1225 0.7876
O 0.7093 0.5767 0.2790
O 0.0924 0.4339 0.0241
O 0.6802 0.0477 0.2210
O 0.5661 0.5902 0.6585
O 0.4098 0.0682 0.9759
O 0.8402 0.3161 0.1585
O 0.5407 0.3198 0.3675
O 0.9150 0.6275 0.1224
O 0.3350 0.9574 0.2124
O 0.0426 0.2550 0.3776
O 0.8267 0.4593 0.7790
O 0.5050 0.7926 0.8776
O 0.1576 0.6818 0.8415
O 0.3725 0.4950 0.2876
O 0.9318 0.9076 0.3415
O 0.6839 0.8424 0.5241
O 0.2977 0.4302 0.7210
Se 0.3942 0.0660 0.7788
Se 0.9628 0.6840 0.8282
Se 0.8558 0.1346 0.1718
Se 0.3160 0.1442 0.2788
Se 0.3846 0.6058 0.6718
Se 0.9340 0.7128 0.3282
Se 0.2872 0.6154 0.2212
Se 0.8654 0.0372 0.7212
Li 0.5608 0.3750 0.6858
Li 0.1250 0.4392 0.8142
Li 0.6250 0.3108 0.1858
Li 0.6892 0.8750 0.3142

=====

(3)
Entry from the Materials Project: a geometry-optimized ThFe4P2 structure (GGA-PBE).

Properties
Total moment, μB/cell: 6.7

Cell: 3.7171 10.7303 14.2563 Å, 90.00 90.00 90.00°
Element x y z (fractional)
Fe 0.5000 0.2355 0.4210
Fe 0.0000 0.4067 0.0532
Fe 0.0000 0.5692 0.3260
Fe 0.5000 0.9308 0.8260
Fe 0.5000 0.0933 0.5532
Fe 0.0000 0.2613 0.5367
Fe 0.0000 0.0777 0.4451
Fe 0.0000 0.5933 0.9468
Fe 0.5000 0.7645 0.5790
Fe 0.0000 0.7355 0.0790
Fe 0.5000 0.4223 0.9451
Fe 0.0000 0.1773 0.2891
Fe 0.5000 0.6773 0.2109
Fe 0.5000 0.7613 0.9633
Fe 0.5000 0.0692 0.1740
Fe 0.0000 0.7387 0.4633
Fe 0.0000 0.9223 0.5549
Fe 0.5000 0.3227 0.7891
Fe 0.5000 0.5777 0.0549
Fe 0.5000 0.9067 0.4468
Fe 0.0000 0.4308 0.6740
Fe 0.0000 0.2645 0.9210
Fe 0.5000 0.2387 0.0367
Fe 0.0000 0.8227 0.7109
P 0.5000 0.2959 0.6319
P 0.0000 0.7959 0.8681
P 0.5000 0.9299 0.6650
P 0.0000 0.5701 0.1650
P 0.0000 0.3498 0.3857
P 0.5000 0.0701 0.3350
P 0.0000 0.4299 0.8350
P 0.0000 0.6502 0.6143
P 0.0000 0.2041 0.1319
P 0.5000 0.7041 0.3681
P 0.5000 0.8498 0.1143
P 0.5000 0.1502 0.8857
Th 0.5000 0.6232 0.7741
Th 0.5000 0.3768 0.2259
Th 0.0000 0.1232 0.7259
Th 0.5000 0.5000 0.5000
Th 0.0000 0.8768 0.2741
Th 0.0000 0.0000 0.0000

=====

(4)
Entry from the Materials Project: a geometry-optimized Zr5Sn3O structure (GGA-PBE).

Properties
Energy with MP2020 corrections, eV/atom: -7.751

Cell: 8.4971 8.4971 5.7939 Å, 90.00 90.00 120.00°
Element x y z (fractional)
Sn 0.5974 0.0000 0.2500
Sn 0.0000 0.4026 0.7500
Sn 0.4026 0.0000 0.7500
Sn 0.4026 0.4026 0.2500
Sn 0.5974 0.5974 0.7500
Sn 0.0000 0.5974 0.2500
Zr 0.7708 0.7708 0.2500
Zr 0.3333 0.6667 0.0000
Zr 0.6667 0.3333 0.5000
Zr 0.2292 0.0000 0.2500
Zr 0.3333 0.6667 0.5000
Zr 0.7708 0.0000 0.7500
Zr 0.2292 0.2292 0.7500
Zr 0.0000 0.7708 0.7500
Zr 0.6667 0.3333 0.0000
Zr 0.0000 0.2292 0.2500
O 0.0000 0.0000 0.5000
O 0.0000 0.0000 0.0000

=====

(5)
Entry from the Materials Project: a geometry-optimized Na10Sc4Ga4Si5S7O48 structure (GGA-PBE).

Properties
Total moment, μB/cell: 0.0
Energy with MP2020 corrections, eV/atom: -6.939

Cell: 17.8265 8.9546 22.3772 Å, 89.54 89.29 120.03°
Element x y z (fractional)
S 0.1674 0.9621 0.9165
S 0.8274 0.0267 0.0829
S 0.8114 0.6687 0.9183
S 0.4823 0.3433 0.5819
S 0.3344 0.6192 0.5847
S 0.1507 0.2940 0.7474
S 0.3146 0.6669 0.9154
S 0.1699 0.3743 0.4160
S 0.6430 0.9961 0.2510
S 0.3155 0.9622 0.4158
S 0.6668 0.3782 0.4188
S 0.3326 0.0393 0.0870
S 0.9784 0.3274 0.5840
S 0.8088 0.9541 0.4169
S 0.6655 0.9540 0.9202
S 0.4833 0.6348 0.0845
S 0.6492 0.2934 0.7506
S 0.9815 0.6325 0.0831
S 0.4964 0.7017 0.7488
S 0.1491 0.0008 0.2517
S 0.8297 0.6245 0.5825
O 0.0879 0.0265 0.5857
O 0.2443 0.3444 0.1444
O 0.2745 0.8603 0.4716
O 0.2372 0.1672 0.5203
O 0.4032 0.8153 0.9106
O 0.4233 0.3517 0.9212
O 0.4207 0.4927 0.4260
O 0.1591 0.4667 0.7524
O 0.6587 0.8503 0.9735
O 0.4115 0.0225 0.0878
O 0.6839 0.8576 0.5779
O 0.4179 0.7776 0.3067
O 0.1623 0.8594 0.9693
O 0.1595 0.8462 0.2563
O 0.0933 0.9719 0.2000
O 0.9427 0.3641 0.6389
O 0.0769 0.4598 0.9756
O 0.7683 0.8459 0.4711
O 0.4028 0.9818 0.4127
O 0.5093 0.8075 0.6949
O 0.0671 0.4846 0.5784
O 0.2382 0.3130 0.7407
O 0.0918 0.2005 0.4144
O 0.7514 0.6364 0.5742
O 0.0872 0.4928 0.2541
O 0.0640 0.4743 0.8562
O 0.3400 0.5148 0.2427
O 0.0790 0.6697 0.7518
O 0.6590 0.4709 0.4699
O 0.3206 0.1332 0.4191
O 0.9138 0.7816 0.3079
O 0.5790 0.4625 0.9749
O 0.4458 0.3698 0.6390
O 0.4299 0.5460 0.0326
O 0.0887 0.9783 0.9142
O 0.7316 0.1488 0.2437
O 0.4093 0.3069 0.2425
O 0.5216 0.2199 0.1894
O 0.8994 0.8179 0.9156
O 0.4886 0.7839 0.8030
O 0.6116 0.1928 0.8067
O 0.9043 0.9674 0.6883
O 0.1633 0.4659 0.4680
O 0.4889 0.8026 0.0902
O 0.7246 0.3085 0.0221
O 0.9429 0.5262 0.1387
O 0.3187 0.5050 0.9189
O 0.8973 0.9780 0.4151
O 0.1136 0.1888 0.8029
O 0.6533 0.8426 0.2556
O 0.2624 0.6511 0.8628
O 0.9133 0.3152 0.2446
O 0.6072 0.0307 0.3057
O 0.1748 0.5012 0.0842
O 0.4183 0.0463 0.8003
O 0.6784 0.8785 0.8648
O 0.5866 0.9688 0.9158
O 0.5821 0.7131 0.4708
O 0.0225 0.8240 0.6845
O 0.5663 0.4822 0.8545
O 0.5883 0.9685 0.1985
O 0.3461 0.1876 0.7421
O 0.5149 0.1839 0.9144
O 0.6790 0.4737 0.3606
O 0.0139 0.8394 0.4148
O 0.9202 0.3455 0.9220
O 0.8175 0.1018 0.1395
O 0.8454 0.1721 0.7421
O 0.7511 0.6909 0.2627
O 0.0691 0.6512 0.0779
O 0.8152 0.5068 0.9222
O 0.9193 0.4828 0.4257
O 0.7509 0.1467 0.6383
O 0.4181 0.5273 0.7443
O 0.0636 0.6385 0.3571
O 0.6553 0.4659 0.7536
O 0.2556 0.6365 0.5821
O 0.1109 0.0278 0.3068
O 0.7692 0.6920 0.9720
O 0.7450 0.3569 0.4209
O 0.6677 0.5003 0.0801
O 0.2477 0.3527 0.4187
O 0.2336 0.3189 0.0228
O 0.8898 0.8292 0.1952
O 0.0954 0.2121 0.6955
O 0.1777 0.8854 0.8604
O 0.4107 0.7967 0.5870
O 0.3995 0.8426 0.1921
O 0.3470 0.1537 0.0345
O 0.7609 0.8210 0.7513
O 0.2542 0.8695 0.0809
O 0.2620 0.8764 0.3628
O 0.7587 0.8727 0.3623
O 0.9070 0.5076 0.7365
O 0.9288 0.5419 0.0312
O 0.8423 0.1456 0.0321
O 0.0765 0.6864 0.4764
O 0.3986 0.9874 0.6833
O 0.9875 0.1738 0.5888
O 0.7416 0.1327 0.9221
O 0.7617 0.6515 0.8634
O 0.9777 0.7895 0.8010
O 0.2583 0.6963 0.2604
O 0.5698 0.4939 0.5744
O 0.5738 0.6763 0.7513
O 0.5128 0.8503 0.4087
O 0.8151 0.1256 0.4198
O 0.7494 0.8561 0.0756
O 0.5959 0.0269 0.5848
O 0.9074 0.0130 0.0845
O 0.2757 0.6909 0.9706
O 0.0135 0.1768 0.9148
O 0.7353 0.3485 0.1424
O 0.7383 0.1623 0.5172
O 0.2560 0.8435 0.7524
O 0.9268 0.3103 0.5311
O 0.3266 0.5162 0.6390
O 0.9096 0.7995 0.5839
O 0.4876 0.1829 0.5858
O 0.0887 0.1603 0.0865
O 0.8320 0.5079 0.2459
O 0.5895 0.2033 0.4159
O 0.9860 0.1705 0.3059
O 0.2466 0.1317 0.6402
O 0.5816 0.4808 0.2567
O 0.5805 0.1515 0.0885
O 0.9885 0.8020 0.0871
O 0.1816 0.4737 0.3592
O 0.2364 0.1553 0.2449
O 0.4467 0.5231 0.1401
O 0.9146 0.0400 0.8040
O 0.5710 0.6538 0.0778
O 0.5593 0.6377 0.3538
O 0.4234 0.3143 0.5318
O 0.2443 0.1408 0.9188
O 0.8201 0.5294 0.6392
O 0.5931 0.2062 0.6996
O 0.0199 0.2224 0.1886
O 0.1780 0.8583 0.5779
O 0.7374 0.3214 0.7443
O 0.3457 0.5428 0.5297
O 0.8493 0.5422 0.5312
O 0.3241 0.1185 0.1428
O 0.4784 0.1525 0.3064
Ga 0.4856 0.9730 0.3486
Ga 0.3374 0.3543 0.1863
Ga 0.6535 0.6344 0.3176
Ga 0.3370 0.3473 0.4827
Ga 0.1584 0.6420 0.3154
Ga 0.5003 0.0168 0.1530
Ga 0.0013 0.9897 0.6486
Ga 0.8316 0.3116 0.6850
Ga 0.3309 0.3173 0.6807
Ga 0.6626 0.6419 0.0184
Ga 0.6604 0.6992 0.5178
Ga 0.8348 0.3447 0.4839
Si 0.6946 0.0534 0.5799
Si 0.9951 0.6978 0.7444
Si 0.5187 0.3735 0.9161
Si 0.3546 0.7116 0.2496
Si 0.0003 0.2980 0.2499
Si 0.1864 0.0531 0.5809
Si 0.0154 0.6576 0.4182
Si 0.3532 0.0068 0.7437
Si 0.8462 0.7029 0.2532
Si 0.6787 0.3251 0.0831
Si 0.4966 0.2861 0.2504
Si 0.0153 0.3621 0.9170
Si 0.8551 0.0001 0.7448
Si 0.5164 0.6679 0.4151
Si 0.1874 0.3286 0.0848
Sc 0.6664 0.6790 0.8139
Sc 0.9985 0.0069 0.1507
Sc 0.8319 0.3311 0.9825
Sc 0.1660 0.6488 0.0200
Sc 0.3358 0.3347 0.9829
Sc 0.5071 0.0015 0.6442
Sc 0.1624 0.6698 0.5191
Sc 0.9894 0.9823 0.3531
Sc 0.9908 0.9937 0.8489
Sc 0.8288 0.3418 0.1851
Sc 0.4929 0.0104 0.8520
Sc 0.1618 0.6667 0.8126
Na 0.1619 0.3021 0.9261
Na 0.8459 0.3215 0.8317
Na 0.1635 0.0229 0.4249
Na 0.3303 0.9725 0.5910
Na 0.0023 0.0008 0.0004
Na 0.0205 0.3287 0.0835
Na 0.4976 0.3557 0.7570
Na 0.1783 0.9907 0.7427
Na 0.8256 0.6483 0.7447
Na 0.6624 0.2995 0.9266
Na 0.3451 0.3358 0.8355
Na 0.6630 0.0297 0.4246
Na 0.6803 0.7114 0.6607
Na 0.9942 0.9989 0.5019
Na 0.5000 0.9943 0.0044
Na 0.3226 0.0003 0.2491
Na 0.0177 0.7079 0.5859
Na 0.9956 0.3608 0.7569
Na 0.5102 0.9945 0.4971
Na 0.1769 0.6633 0.1671
Na 0.5165 0.3322 0.0853
Na 0.1839 0.3734 0.2416
Na 0.8474 0.3590 0.3385
Na 0.6750 0.6620 0.1656
Na 0.6779 0.3680 0.2443
Na 0.9952 0.6308 0.2592
Na 0.4969 0.6278 0.2580
Na 0.1723 0.6728 0.6700
Na 0.8241 0.9998 0.2520
Na 0.3499 0.3640 0.3367

=====

(6)
Entry from the Materials Project: a geometry-optimized PrSb12Os4 structure (GGA-PBE).

Cell: 8.1602 8.1602 8.1602 Å, 109.47 109.47 109.47°
Element x y z (fractional)
Os 0.5000 0.0000 0.0000
Os 0.0000 0.5000 0.0000
Os 0.5000 0.5000 0.5000
Os 0.0000 0.0000 0.5000
Sb 0.8429 0.5032 0.6603
Sb 0.1826 0.3397 0.8429
Sb 0.8429 0.1826 0.3397
Sb 0.1571 0.4968 0.3397
Sb 0.1571 0.8174 0.6603
Sb 0.6603 0.8429 0.5032
Sb 0.4968 0.3397 0.1571
Sb 0.6603 0.1571 0.8174
Sb 0.5032 0.6603 0.8429
Sb 0.8174 0.6603 0.1571
Sb 0.3397 0.8429 0.1826
Sb 0.3397 0.1571 0.4968
Pr 0.0000 0.0000 0.0000

=====

Number 1: DFT formation energy -2.293 eV/atom. Number 2: DFT formation energy -1.720 eV/atom. Number 3: DFT formation energy -0.678 eV/atom. Number 4: DFT formation energy -1.116 eV/atom. Number 5: DFT formation energy -2.525 eV/atom. Number 6: DFT formation energy -0.168 eV/atom.